1.
Compound: Na3FeAsCO7
Source: the Materials Project database
Functional: meta-GGA r2SCAN
Structure: optimized geometry

Raw total energy   -8.791 eV/atom
Formation enthalpy at 0 K   -1747 meV/atom
Total magnetic moment   0.308 μB/atom

abc: 8.433 8.433 9.137
angles: 89.60 89.60 104.75
Element x y z (fractional)
Fe 0.735 0.485 0.656
O 0.270 0.020 0.087
O 0.152 0.902 0.882
O 0.955 0.205 0.421
O 0.912 0.862 0.306
O 0.731 0.980 0.913
O 0.770 0.520 0.087
As 0.028 0.278 0.585
O 0.807 0.557 0.440
O 0.631 0.881 0.133
O 0.045 0.795 0.579
As 0.472 0.222 0.414
O 0.545 0.295 0.579
O 0.869 0.619 0.867
O 0.388 0.838 0.694
Na 0.623 0.625 0.255
O 0.412 0.362 0.306
Fe 0.765 0.015 0.344
Na 0.625 0.127 0.745
Na 0.491 0.741 0.919
Na 0.375 0.873 0.255
Fe 0.235 0.985 0.656
O 0.588 0.638 0.694
Fe 0.265 0.515 0.344
C 0.264 0.014 0.946
O 0.230 0.480 0.913
C 0.736 0.986 0.054
As 0.528 0.778 0.585
O 0.112 0.662 0.306
Na 0.125 0.627 0.745
Na 0.510 0.260 0.081
O 0.088 0.138 0.694
C 0.764 0.514 0.946
O 0.307 0.057 0.440
Na 0.877 0.875 0.745
C 0.236 0.486 0.054
Na 0.875 0.373 0.255
O 0.652 0.402 0.882
O 0.888 0.338 0.694
O 0.369 0.119 0.867
Na 0.123 0.125 0.255
O 0.193 0.443 0.560
O 0.131 0.381 0.133
O 0.693 0.943 0.560
O 0.848 0.098 0.118
O 0.348 0.598 0.118
Na 0.377 0.375 0.745
Na 0.990 0.240 0.919
O 0.455 0.705 0.421
Na 0.010 0.760 0.081
O 0.612 0.162 0.306
As 0.972 0.722 0.414

***

2.
Compound: Nb2AsC
Source: the Materials Project database
Functional: meta-GGA r2SCAN
Structure: optimized geometry

Raw total energy   -19.228 eV/atom
Formation enthalpy at 0 K   -697 meV/atom
Total magnetic moment   0.000 μB/atom

abc: 3.357 3.357 11.932
angles: 90.00 90.00 120.00
Element x y z (fractional)
Nb 0.667 0.333 0.905
C 0.000 0.000 0.000
As 0.333 0.667 0.750
Nb 0.667 0.333 0.595
Nb 0.333 0.667 0.095
As 0.667 0.333 0.250
Nb 0.333 0.667 0.405
C 0.000 0.000 0.500

***

3.
Compound: CaAs3
Source: the Materials Project database
Functional: meta-GGA r2SCAN
Structure: optimized geometry

Raw total energy   -13.463 eV/atom
Formation enthalpy at 0 K   -673 meV/atom
Total magnetic moment   0.000 μB/atom

abc: 5.891 5.889 5.962
angles: 80.31 70.05 75.94
Element x y z (fractional)
As 0.784 0.008 0.015
As 0.814 0.142 0.595
As 0.782 0.590 0.094
As 0.186 0.858 0.405
As 0.218 0.410 0.906
Ca 0.344 0.316 0.370
As 0.216 0.992 0.985
Ca 0.656 0.684 0.630

***

4.
Compound: Ca5As3
Source: the Materials Project database
Functional: meta-GGA r2SCAN
Structure: optimized geometry

Raw total energy   -11.217 eV/atom
Formation enthalpy at 0 K   -1302 meV/atom
Total magnetic moment   0.119 μB/atom

abc: 8.499 8.499 6.773
angles: 90.00 90.00 120.00
Element x y z (fractional)
Ca 0.000 0.746 0.250
As 0.000 0.611 0.750
As 0.389 0.389 0.750
Ca 0.667 0.333 0.000
Ca 0.333 0.667 0.000
As 0.611 0.611 0.250
As 0.389 0.000 0.250
Ca 0.746 0.746 0.750
Ca 0.746 0.000 0.250
As 0.611 0.000 0.750
Ca 0.254 0.254 0.250
Ca 0.000 0.254 0.750
Ca 0.667 0.333 0.500
Ca 0.333 0.667 0.500
As 0.000 0.389 0.250
Ca 0.254 0.000 0.750

***

5.
Compound: Ca4As3
Source: the Materials Project database
Functional: meta-GGA r2SCAN
Structure: optimized geometry

Raw total energy   -11.688 eV/atom
Formation enthalpy at 0 K   -1363 meV/atom
Total magnetic moment   0.000 μB/atom

abc: 10.393 11.552 12.110
angles: 90.00 90.00 90.00
Element x y z (fractional)
As 0.500 0.636 0.113
As 0.500 0.864 0.613
Ca 0.676 0.676 0.567
Ca 0.676 0.824 0.067
As 0.000 0.639 0.142
Ca 0.500 0.376 0.135
As 0.500 0.538 0.403
As 0.500 0.038 0.097
As 0.000 0.361 0.858
As 0.000 0.861 0.642
As 0.879 0.500 0.500
Ca 0.273 0.595 0.264
Ca 0.324 0.676 0.567
As 0.766 0.663 0.824
Ca 0.500 0.124 0.635
As 0.766 0.337 0.176
Ca 0.816 0.500 0.000
As 0.121 0.000 0.000
Ca 0.676 0.324 0.433
As 0.500 0.962 0.903
Ca 0.500 0.876 0.365
Ca 0.273 0.905 0.764
As 0.234 0.337 0.176
Ca 0.676 0.176 0.933
Ca 0.000 0.226 0.076
Ca 0.273 0.405 0.736
As 0.500 0.364 0.887
Ca 0.000 0.602 0.707
Ca 0.000 0.774 0.924
Ca 0.727 0.095 0.236
As 0.234 0.837 0.324
Ca 0.000 0.726 0.424
Ca 0.184 0.500 0.000
Ca 0.273 0.095 0.236
As 0.234 0.663 0.824
Ca 0.324 0.324 0.433
Ca 0.000 0.898 0.207
Ca 0.500 0.624 0.865
Ca 0.816 0.000 0.500
As 0.121 0.500 0.500
Ca 0.324 0.176 0.933
As 0.000 0.139 0.358
As 0.766 0.163 0.676
Ca 0.727 0.405 0.736
Ca 0.000 0.102 0.793
Ca 0.727 0.595 0.264
As 0.766 0.837 0.324
Ca 0.184 0.000 0.500
Ca 0.000 0.398 0.293
As 0.500 0.136 0.387
As 0.879 0.000 0.000
As 0.234 0.163 0.676
Ca 0.000 0.274 0.576
As 0.500 0.462 0.597
Ca 0.727 0.905 0.764
Ca 0.324 0.824 0.067

***

6.
Compound: Ca2As
Source: the Materials Project database
Functional: meta-GGA r2SCAN
Structure: optimized geometry

Raw total energy   -10.705 eV/atom
Formation enthalpy at 0 K   -1110 meV/atom
Total magnetic moment   0.000 μB/atom

abc: 4.562 4.562 8.537
angles: 105.50 105.50 90.01
Element x y z (fractional)
Ca 0.500 0.000 0.000
As 0.866 0.866 0.731
Ca 0.000 0.500 0.000
Ca 0.321 0.321 0.642
As 0.134 0.134 0.269
Ca 0.679 0.679 0.358

***

7.
Compound: Ca2As3
Source: the Materials Project database
Functional: meta-GGA r2SCAN
Structure: optimized geometry

Raw total energy   -12.670 eV/atom
Formation enthalpy at 0 K   -1030 meV/atom
Total magnetic moment   0.000 μB/atom

abc: 5.836 12.014 13.781
angles: 90.97 90.00 90.00
Element x y z (fractional)
Ca 0.755 0.625 0.000
As 0.778 0.891 0.079
As 0.778 0.609 0.421
Ca 0.096 0.250 0.750
As 0.049 0.488 0.327
As 0.395 0.712 0.166
As 0.270 0.638 0.921
As 0.222 0.391 0.579
Ca 0.035 0.750 0.750
As 0.900 0.052 0.656
As 0.900 0.448 0.844
Ca 0.262 0.625 0.489
As 0.951 0.512 0.673
As 0.049 0.012 0.173
Ca 0.453 0.991 0.752
As 0.100 0.552 0.156
Ca 0.245 0.125 0.500
Ca 0.738 0.125 0.989
Ca 0.547 0.491 0.252
Ca 0.904 0.750 0.250
Ca 0.738 0.375 0.511
As 0.730 0.362 0.079
Ca 0.262 0.875 0.011
As 0.457 0.266 0.341
As 0.457 0.234 0.159
Ca 0.245 0.375 0.000
As 0.730 0.138 0.421
Ca 0.453 0.509 0.748
As 0.951 0.988 0.827
As 0.100 0.948 0.344
Ca 0.547 0.009 0.248
As 0.543 0.734 0.659
Ca 0.755 0.875 0.500
Ca 0.965 0.250 0.250
As 0.270 0.862 0.579
As 0.222 0.109 0.921
As 0.543 0.766 0.841
As 0.395 0.788 0.334
As 0.605 0.212 0.666
As 0.605 0.288 0.834

***

8.
Compound: Ca2CdAs2
Source: the Materials Project database
Functional: meta-GGA r2SCAN
Structure: optimized geometry

Raw total energy   -13.831 eV/atom
Formation enthalpy at 0 K   -1111 meV/atom
Total magnetic moment   0.000 μB/atom

abc: 4.317 7.189 8.511
angles: 90.00 104.69 90.00
Element x y z (fractional)
Cd 0.901 0.609 0.803
Cd 0.099 0.109 0.197
As 0.936 0.983 0.872
As 0.064 0.483 0.128
As 0.680 0.003 0.361
Ca 0.533 0.772 0.066
Ca 0.700 0.429 0.400
Ca 0.300 0.929 0.600
As 0.320 0.503 0.639
Ca 0.467 0.272 0.934

***

9.
Compound: Ca5As3ClO12
Source: the Materials Project database
Functional: meta-GGA r2SCAN
Structure: optimized geometry

Raw total energy   -10.029 eV/atom
Formation enthalpy at 0 K   -2546 meV/atom
Total magnetic moment   0.000 μB/atom

abc: 10.156 10.156 6.771
angles: 90.00 90.00 120.00
Element x y z (fractional)
O 0.740 0.654 0.554
Ca 0.667 0.333 0.495
O 0.464 0.605 0.247
O 0.488 0.644 0.752
O 0.356 0.844 0.752
O 0.859 0.464 0.747
O 0.346 0.086 0.554
As 0.031 0.620 0.251
Ca 0.333 0.667 0.995
O 0.844 0.488 0.252
O 0.092 0.736 0.451
As 0.620 0.589 0.751
Cl 0.000 0.000 0.366
O 0.654 0.914 0.054
Cl 0.000 0.000 0.866
Ca 0.728 0.755 0.248
O 0.914 0.260 0.554
As 0.969 0.380 0.751
O 0.260 0.346 0.054
O 0.357 0.092 0.951
As 0.380 0.411 0.251
Ca 0.245 0.973 0.248
As 0.411 0.031 0.751
As 0.589 0.969 0.251
O 0.156 0.512 0.752
Ca 0.667 0.333 0.005
O 0.264 0.357 0.451
Ca 0.272 0.245 0.748
O 0.086 0.740 0.054
Ca 0.973 0.728 0.748
O 0.644 0.156 0.252
O 0.605 0.141 0.747
Ca 0.755 0.027 0.748
Ca 0.333 0.667 0.505
O 0.512 0.356 0.252
O 0.536 0.395 0.747
O 0.643 0.908 0.451
O 0.141 0.536 0.247
O 0.736 0.643 0.951
O 0.908 0.264 0.951
Ca 0.027 0.272 0.248
O 0.395 0.859 0.247

***

10.
Compound: CaCuAs
Source: the Materials Project database
Functional: meta-GGA r2SCAN
Structure: optimized geometry

Raw total energy   -11.806 eV/atom
Formation enthalpy at 0 K   -942 meV/atom
Total magnetic moment   0.000 μB/atom

abc: 4.158 4.158 7.969
angles: 90.00 90.00 120.00
Element x y z (fractional)
Cu 0.333 0.667 0.250
Ca 0.000 0.000 0.500
As 0.333 0.667 0.750
Cu 0.667 0.333 0.750
As 0.667 0.333 0.250
Ca 0.000 0.000 0.000

***

11.
Compound: CaAs3F15
Source: the Materials Project database
Functional: meta-GGA r2SCAN
Structure: optimized geometry

Raw total energy   -7.741 eV/atom
Formation enthalpy at 0 K   -2581 meV/atom
Total magnetic moment   0.000 μB/atom

abc: 10.097 10.228 10.902
angles: 90.00 90.00 90.00
Element x y z (fractional)
As 0.760 0.063 0.159
F 0.006 0.912 0.954
F 0.652 0.360 0.727
As 0.467 0.751 0.006
F 0.646 0.573 0.834
F 0.850 0.501 0.731
Ca 0.000 0.630 0.629
F 0.199 0.268 0.535
F 0.848 0.640 0.227
As 0.240 0.563 0.341
F 0.342 0.499 0.224
F 0.839 0.500 0.958
F 0.358 0.368 0.958
F 0.656 0.705 0.347
As 0.742 0.435 0.842
F 0.339 0.000 0.042
F 0.638 0.364 0.954
F 0.650 0.499 0.231
F 0.843 0.796 0.655
F 0.358 0.575 0.834
As 0.258 0.935 0.658
F 0.660 0.995 0.049
F 0.699 0.232 0.465
F 0.506 0.588 0.046
F 0.994 0.412 0.546
F 0.160 0.505 0.951
F 0.356 0.360 0.733
F 0.801 0.768 0.965
F 0.138 0.136 0.046
Ca 0.500 0.370 0.129
F 0.644 0.860 0.767
F 0.498 0.301 0.342
F 0.657 0.204 0.155
F 0.840 0.005 0.549
F 0.301 0.732 0.035
F 0.343 0.704 0.345
F 0.856 0.140 0.267
F 0.150 0.001 0.769
F 0.348 0.860 0.773
F 0.858 0.132 0.042
As 0.758 0.565 0.342
F 0.152 0.140 0.273
F 0.156 0.795 0.653
As 0.967 0.749 0.994
F 0.146 0.927 0.166
Ca 0.000 0.130 0.871
F 0.661 0.500 0.458
F 0.642 0.868 0.542
F 0.642 0.075 0.666
As 0.740 0.937 0.659
As 0.033 0.249 0.506
F 0.161 0.000 0.542
F 0.862 0.636 0.454
F 0.157 0.296 0.845
As 0.260 0.437 0.841
F 0.494 0.088 0.454
F 0.842 0.001 0.776
As 0.242 0.065 0.158
F 0.142 0.632 0.458
F 0.340 0.495 0.451
F 0.658 0.999 0.276
F 0.354 0.073 0.666
F 0.350 0.999 0.269
F 0.998 0.199 0.658
F 0.158 0.501 0.724
F 0.362 0.864 0.546
Ca 0.500 0.870 0.371
F 0.344 0.205 0.153
F 0.502 0.801 0.158
F 0.854 0.427 0.334
F 0.144 0.640 0.233
F 0.002 0.699 0.842
F 0.142 0.425 0.334
F 0.844 0.295 0.847
As 0.533 0.251 0.494
F 0.858 0.925 0.166

***

12.
Compound: CaAs2F12
Source: the Materials Project database
Functional: meta-GGA r2SCAN
Structure: optimized geometry

Raw total energy   -7.549 eV/atom
Formation enthalpy at 0 K   -2618 meV/atom
Total magnetic moment   0.000 μB/atom

abc: 5.338 5.338 7.532
angles: 90.00 90.00 90.00
Element x y z (fractional)
F 0.775 0.263 0.232
As 0.000 0.500 0.249
F 0.225 0.737 0.232
F 0.737 0.775 0.768
F 0.000 0.500 0.011
F 0.737 0.225 0.768
F 0.225 0.263 0.232
F 0.500 0.000 0.526
F 0.000 0.500 0.474
F 0.263 0.225 0.768
F 0.500 0.000 0.989
Ca 0.000 0.000 0.000
F 0.263 0.775 0.768
F 0.775 0.737 0.232
As 0.500 0.000 0.751